The following is a r2SCAN calculation of a relaxed structure of RbPO3, from the Materials Project.

Calculated values
volume: 330.3 Å³/cell
energy: -10.6374 eV per atom
energy relative to the elements: -2.4673 eV/atom
symmetry: P2_1/c, No. 14

Cell: 6.4818 4.2348 13.1228 Å, 90.00 113.50 90.00°
Fractional coordinates of all 20 atoms:
Rb: 0.1865 0.1351 0.4082
Rb: 0.1865 0.3649 0.9082
Rb: 0.8135 0.6351 0.0918
Rb: 0.8135 0.8649 0.5918
P: 0.3604 0.5097 0.6788
P: 0.3604 0.9903 0.1788
P: 0.6396 0.0097 0.8212
P: 0.6396 0.4903 0.3212
O: 0.1509 0.1386 0.1763
O: 0.1509 0.3614 0.6763
O: 0.3646 0.6608 0.5777
O: 0.3646 0.8392 0.0777
O: 0.4359 0.7423 0.2807
O: 0.4359 0.7577 0.7807
O: 0.5641 0.2423 0.2193
O: 0.5641 0.2577 0.7193
O: 0.6354 0.1608 0.9223
O: 0.6354 0.3392 0.4223
O: 0.8491 0.6386 0.3237
O: 0.8491 0.8614 0.8237